Record 1
Compound: Sr2Mn2O5
Source: the Materials Project database
Functional: GGA+U
Structure: relaxed

POSCAR file:
```
Sr2Mn2O5
1.0
5.452 0.000 0.000
-0.003 5.453 0.000
-2.723 -2.724 8.430
Sr Mn O
4 4 10
Direct
0.000 0.000 0.000
0.209 0.222 0.443
0.488 0.499 0.000
0.721 0.720 0.443
0.105 0.611 0.221
0.417 0.901 0.722
0.605 0.111 0.221
0.792 0.401 0.721
0.229 0.745 0.505
0.356 0.864 0.225
0.358 0.364 0.225
0.452 0.254 0.721
0.455 0.966 0.940
0.755 0.248 0.503
0.755 0.753 0.722
0.853 0.360 0.218
0.853 0.860 0.217
0.981 0.460 0.938
```

MP2020-corrected energy ... -7.708 eV/atom
DFT total energy ... -6.956 eV per atom
Space group ... P1
Energy relative to the lowest polymorph listed for this composition ... 24 meV per atom
Energy of formation from the pure elements ... -2548 meV per atom

=====

Record 2
Compound: KSrPrWO6
Source: the Materials Project database
Functional: GGA+U
Structure: relaxed

POSCAR file:
```
KSrPrWO6
1.0
8.527 0.000 0.000
0.000 8.527 0.000
0.000 0.000 8.545
K Sr Pr W O
4 4 4 4 24
Direct
0.250 0.250 0.250
0.250 0.750 0.250
0.750 0.250 0.750
0.750 0.750 0.750
0.250 0.250 0.750
0.250 0.750 0.750
0.750 0.250 0.250
0.750 0.750 0.250
0.000 0.000 0.000
0.000 0.500 0.500
0.500 0.000 0.500
0.500 0.500 0.000
0.000 0.000 0.500
0.000 0.500 0.000
0.500 0.000 0.000
0.500 0.500 0.500
0.025 0.226 0.470
0.025 0.274 0.030
0.041 0.027 0.727
0.041 0.473 0.773
0.225 0.532 0.020
0.225 0.968 0.480
0.275 0.532 0.480
0.275 0.968 0.020
0.459 0.027 0.773
0.459 0.473 0.727
0.475 0.226 0.030
0.475 0.274 0.470
0.525 0.726 0.530
0.525 0.774 0.970
0.541 0.527 0.273
0.541 0.973 0.227
0.725 0.032 0.980
0.725 0.468 0.520
0.775 0.032 0.520
0.775 0.468 0.980
0.959 0.527 0.227
0.959 0.973 0.273
0.975 0.726 0.970
0.975 0.774 0.530
```

MP2020-corrected energy ... -7.878 eV/atom
DFT total energy ... -7.022 eV per atom
Space group ... Pnnn
Energy relative to the lowest polymorph listed for this composition ... 0 meV per atom
Energy of formation from the pure elements ... -2855 meV per atom

=====

Record 3
Compound: K2ZrFeP3O12
Source: the Materials Project database
Functional: GGA+U
Structure: relaxed

POSCAR file:
```
K2ZrFeP3O12
1.0
10.210 0.000 0.000
0.000 10.210 0.000
0.000 0.000 10.210
K Zr Fe P O
8 4 4 12 48
Direct
0.049 0.049 0.049
0.185 0.315 0.685
0.315 0.685 0.185
0.451 0.951 0.549
0.549 0.451 0.951
0.685 0.185 0.315
0.815 0.815 0.815
0.951 0.549 0.451
0.164 0.664 0.836
0.336 0.336 0.336
0.664 0.836 0.164
0.836 0.164 0.664
0.104 0.896 0.396
0.396 0.104 0.896
0.604 0.604 0.604
0.896 0.396 0.104
0.019 0.207 0.371
0.129 0.981 0.707
0.207 0.371 0.019
0.293 0.629 0.519
0.371 0.019 0.207
0.481 0.793 0.871
0.519 0.293 0.629
0.629 0.519 0.293
0.707 0.129 0.981
0.793 0.871 0.481
0.871 0.481 0.793
0.981 0.707 0.129
0.002 0.557 0.771
0.015 0.062 0.329
0.048 0.794 0.232
0.057 0.729 0.998
0.062 0.329 0.015
0.102 0.839 0.752
0.161 0.252 0.398
0.171 0.985 0.562
0.206 0.732 0.452
0.229 0.502 0.943
0.232 0.048 0.794
0.248 0.602 0.661
0.252 0.398 0.161
0.268 0.952 0.294
0.271 0.498 0.443
0.294 0.268 0.952
0.329 0.015 0.062
0.339 0.748 0.898
0.398 0.161 0.252
0.438 0.671 0.515
0.443 0.271 0.498
0.452 0.206 0.732
0.485 0.938 0.829
0.498 0.443 0.271
0.502 0.943 0.229
0.515 0.438 0.671
0.548 0.706 0.768
0.557 0.771 0.002
0.562 0.171 0.985
0.602 0.661 0.248
0.661 0.248 0.602
0.671 0.515 0.438
0.706 0.768 0.548
0.729 0.998 0.057
0.732 0.452 0.206
0.748 0.898 0.339
0.752 0.102 0.839
0.768 0.548 0.706
0.771 0.002 0.557
0.794 0.232 0.048
0.829 0.485 0.938
0.839 0.752 0.102
0.898 0.339 0.748
0.938 0.829 0.485
0.943 0.229 0.502
0.952 0.294 0.268
0.985 0.562 0.171
0.998 0.057 0.729
```

MP2020-corrected energy ... -7.818 eV/atom
DFT total energy ... -7.265 eV per atom
Space group ... P2_13
Energy relative to the lowest polymorph listed for this composition ... 0 meV per atom
Energy of formation from the pure elements ... -2825 meV per atom

=====

Record 4
Compound: Ca7MgFeCo7O24
Source: the Materials Project database
Functional: GGA+U
Structure: relaxed

POSCAR file:
```
Ca7MgFeCo7O24
1.0
5.347 3.087 4.360
-5.347 3.087 4.360
0.000 -6.175 4.360
Ca Mg Fe Co O
7 1 1 7 24
Direct
0.000 0.000 0.000
0.000 0.000 0.499
0.000 0.499 0.000
0.000 0.499 0.499
0.499 0.000 0.000
0.499 0.000 0.499
0.499 0.499 0.000
0.498 0.498 0.498
0.250 0.250 0.250
0.250 0.250 0.749
0.250 0.749 0.250
0.250 0.749 0.749
0.749 0.250 0.250
0.749 0.250 0.749
0.749 0.749 0.250
0.749 0.749 0.749
0.002 0.250 0.749
0.002 0.749 0.250
0.250 0.002 0.749
0.250 0.250 0.995
0.250 0.749 0.002
0.250 0.995 0.250
0.252 0.252 0.504
0.252 0.497 0.747
0.252 0.504 0.252
0.252 0.747 0.497
0.497 0.252 0.747
0.497 0.747 0.252
0.503 0.747 0.747
0.504 0.252 0.252
0.747 0.252 0.497
0.747 0.497 0.252
0.747 0.503 0.747
0.747 0.747 0.503
0.749 0.002 0.250
0.749 0.250 0.002
0.749 0.749 0.995
0.749 0.995 0.749
0.995 0.250 0.250
0.995 0.749 0.749
```

MP2020-corrected energy ... -6.689 eV/atom
DFT total energy ... -5.933 eV per atom
Space group ... R3m
Energy of formation from the pure elements ... -1873 meV per atom

=====

Record 5
Compound: BaInCo4O7
Source: the Materials Project database
Functional: GGA+U
Structure: relaxed

POSCAR file:
```
BaInCo4O7
1.0
6.293 0.000 0.000
-3.146 5.449 0.000
0.000 0.000 10.311
Ba In Co O
2 2 8 14
Direct
0.333 0.667 0.000
0.667 0.333 0.500
0.333 0.667 0.380
0.667 0.333 0.880
0.000 0.000 0.444
0.000 0.000 0.944
0.170 0.340 0.691
0.170 0.830 0.691
0.340 0.170 0.191
0.660 0.830 0.691
0.830 0.170 0.191
0.830 0.660 0.191
0.000 0.000 0.253
0.000 0.000 0.753
0.001 0.501 0.259
0.168 0.336 0.504
0.168 0.832 0.504
0.336 0.168 0.004
0.499 0.501 0.259
0.499 0.999 0.259
0.501 0.001 0.759
0.501 0.499 0.759
0.664 0.832 0.504
0.832 0.168 0.004
0.832 0.664 0.004
0.999 0.499 0.759
```

MP2020-corrected energy ... -6.875 eV/atom
DFT total energy ... -6.001 eV per atom
Space group ... P6_3mc
Energy of formation from the pure elements ... -1665 meV per atom

=====

Record 6
Compound: MgMn2Tl2O6
Source: the Materials Project database
Functional: GGA+U
Structure: relaxed

POSCAR file:
```
MgMn2Tl2O6
1.0
5.561 0.000 0.000
2.761 4.849 0.000
0.015 3.186 5.313
Mg Mn Tl O
1 2 2 6
Direct
0.000 0.000 0.000
0.175 0.650 0.529
0.825 0.350 0.471
0.377 0.249 0.122
0.623 0.751 0.878
0.046 0.156 0.244
0.201 0.204 0.759
0.405 0.562 0.233
0.595 0.438 0.767
0.799 0.796 0.241
0.954 0.844 0.756
```

MP2020-corrected energy ... -6.331 eV/atom
DFT total energy ... -5.653 eV per atom
Space group ... P-1
Energy relative to the lowest polymorph listed for this composition ... 399 meV per atom
Energy of formation from the pure elements ... -1391 meV per atom